Record 1
# WO2

WO2 after structural relaxation (GGA+U, the Materials Project database).

Lattice parameters (Å, degrees): 5.0540 5.0540 5.0540 37.40 37.40 37.40
Fractional positions:
W (0.0000, 0.0000, 0.0000)
O (0.2637, 0.2637, 0.2637)
O (0.7363, 0.7363, 0.7363)

Output
total moment = 2.00 μB per formula unit
formation energy = -1.767 eV/atom


Record 2
# W2O7

W2O7 after structural relaxation (GGA+U, the Materials Project database).

Lattice parameters (Å, degrees): 7.3552 7.3552 7.3552 60.00 60.00 60.00
Fractional positions:
W (0.0000, 0.0000, 0.0000)
W (0.0000, 0.0000, 0.5000)
W (0.0000, 0.5000, 0.0000)
W (0.5000, 0.0000, 0.0000)
O (0.0589, 0.0589, 0.6911)
O (0.0589, 0.6911, 0.0589)
O (0.0589, 0.6911, 0.6911)
O (0.3089, 0.3089, 0.9411)
O (0.3089, 0.9411, 0.3089)
O (0.3089, 0.9411, 0.9411)
O (0.3750, 0.3750, 0.3750)
O (0.6250, 0.6250, 0.6250)
O (0.6911, 0.0589, 0.0589)
O (0.6911, 0.0589, 0.6911)
O (0.6911, 0.6911, 0.0589)
O (0.9411, 0.3089, 0.3089)
O (0.9411, 0.3089, 0.9411)
O (0.9411, 0.9411, 0.3089)

Output
total moment = 2.00 μB per formula unit
formation energy = -1.643 eV/atom


Record 3
# WO2

WO2 after structural relaxation (GGA+U, the Materials Project database).

Lattice parameters (Å, degrees): 5.3119 5.3119 10.5856 90.00 90.00 144.53
Fractional positions:
W (0.1330, 0.8670, 0.5751)
W (0.1330, 0.8670, 0.9249)
W (0.8670, 0.1330, 0.0751)
W (0.8670, 0.1330, 0.4249)
O (0.0830, 0.9170, 0.7500)
O (0.2413, 0.7587, 0.0963)
O (0.2413, 0.7587, 0.4037)
O (0.5000, 0.5000, 0.0000)
O (0.5000, 0.5000, 0.5000)
O (0.7587, 0.2413, 0.5963)
O (0.7587, 0.2413, 0.9037)
O (0.9170, 0.0830, 0.2500)

Output
total moment = 2.00 μB per formula unit
formation energy = -1.644 eV/atom


Record 4
# WO3

WO3 after structural relaxation (GGA+U, the Materials Project database).

Lattice parameters (Å, degrees): 3.9435 7.7811 7.5394 90.00 90.10 90.00
Fractional positions:
W (0.0540, 0.2158, 0.2452)
W (0.0540, 0.2842, 0.7452)
W (0.9460, 0.7158, 0.2548)
W (0.9460, 0.7842, 0.7548)
O (0.0012, 0.2504, 0.4984)
O (0.0012, 0.2496, 0.9984)
O (0.0011, 0.5134, 0.7493)
O (0.0011, 0.9866, 0.2493)
O (0.4937, 0.7301, 0.2507)
O (0.4937, 0.7699, 0.7507)
O (0.5063, 0.2301, 0.2493)
O (0.5063, 0.2699, 0.7493)
O (0.9989, 0.0134, 0.7507)
O (0.9989, 0.4866, 0.2507)
O (0.9988, 0.7504, 0.0016)
O (0.9988, 0.7496, 0.5016)

Output
total moment = 0.00 μB per formula unit
formation energy = -2.160 eV/atom


Record 5
# WO2

WO2 after structural relaxation (GGA+U, the Materials Project database).

Lattice parameters (Å, degrees): 9.1814 3.3146 11.2033 90.00 90.00 90.00
Fractional positions:
W (0.0662, 0.2500, 0.1124)
W (0.0747, 0.2500, 0.6106)
W (0.4253, 0.7500, 0.1106)
W (0.4338, 0.7500, 0.6124)
W (0.5662, 0.2500, 0.3876)
W (0.5747, 0.2500, 0.8894)
W (0.9253, 0.7500, 0.3893)
W (0.9338, 0.7500, 0.8876)
O (0.0077, 0.7500, 0.2215)
O (0.0637, 0.2500, 0.4271)
O (0.1098, 0.7500, 0.9995)
O (0.2146, 0.7500, 0.6438)
O (0.2854, 0.2500, 0.1438)
O (0.3902, 0.2500, 0.4995)
O (0.4363, 0.7500, 0.9271)
O (0.4923, 0.2500, 0.7215)
O (0.5077, 0.7500, 0.2785)
O (0.5637, 0.2500, 0.0729)
O (0.6098, 0.7500, 0.5005)
O (0.7146, 0.7500, 0.8562)
O (0.7854, 0.2500, 0.3562)
O (0.8902, 0.2500, 0.0005)
O (0.9363, 0.7500, 0.5729)
O (0.9923, 0.2500, 0.7785)

Output
total moment = 2.00 μB per formula unit
formation energy = -1.928 eV/atom


Record 6
# WO2

WO2 after structural relaxation (GGA+U, the Materials Project database).

Lattice parameters (Å, degrees): 11.5462 11.8396 12.4560 97.10 91.06 92.29
Fractional positions:
W (0.0000, 0.0000, 0.0000)
W (0.0043, 0.1923, 0.8085)
W (0.0521, 0.4577, 0.8128)
W (0.0570, 0.7845, 0.2317)
W (0.0865, 0.4587, 0.1756)
W (0.1074, 0.7368, 0.5274)
W (0.1198, 0.0817, 0.4058)
W (0.1472, 0.9850, 0.6248)
W (0.1667, 0.3050, 0.0105)
W (0.2485, 0.6420, 0.0022)
W (0.2550, 0.8713, 0.9848)
W (0.3118, 0.4118, 0.6719)
W (0.3699, 0.5807, 0.4514)
W (0.4026, 0.8742, 0.7076)
W (0.4173, 0.1753, 0.6573)
W (0.4273, 0.1405, 0.1102)
W (0.5138, 0.8755, 0.1485)
W (0.5250, 0.8035, 0.3857)
W (0.5344, 0.3736, 0.7866)
W (0.5570, 0.6759, 0.8963)
W (0.5681, 0.1012, 0.3216)
W (0.5732, 0.0389, 0.8410)
W (0.5975, 0.3963, 0.2911)
W (0.5979, 0.6139, 0.6324)
W (0.6037, 0.3872, 0.0414)
W (0.6377, 0.9820, 0.5681)
W (0.7736, 0.8327, 0.7751)
W (0.7882, 0.5435, 0.9300)
W (0.8044, 0.3384, 0.6316)
W (0.8200, 0.8098, 0.0572)
W (0.8274, 0.5634, 0.2292)
W (0.8472, 0.5484, 0.4900)
W (0.8587, 0.3281, 0.0188)
W (0.8866, 0.0125, 0.2668)
O (0.0055, 0.6103, 0.1966)
O (0.0072, 0.4064, 0.9704)
O (0.0217, 0.8797, 0.5967)
O (0.0630, 0.9662, 0.2748)
O (0.0640, 0.1571, 0.9661)
O (0.0773, 0.0491, 0.7589)
O (0.0856, 0.1135, 0.5656)
O (0.0916, 0.8727, 0.9462)
O (0.0987, 0.7546, 0.3747)
O (0.1372, 0.3097, 0.8388)
O (0.1415, 0.5968, 0.8910)
O (0.1532, 0.4356, 0.2968)
O (0.1674, 0.4740, 0.6893)
O (0.1824, 0.7593, 0.1161)
O (0.1986, 0.9609, 0.4756)
O (0.2102, 0.4836, 0.0661)
O (0.2208, 0.6072, 0.4889)
O (0.2239, 0.1805, 0.3712)
O (0.2245, 0.8231, 0.6324)
O (0.2737, 0.2674, 0.6106)
O (0.2824, 0.2356, 0.0721)
O (0.3093, 0.0242, 0.6774)
O (0.3274, 0.8627, 0.8578)
O (0.3596, 0.4342, 0.8135)
O (0.3661, 0.9502, 0.0982)
O (0.3883, 0.7067, 0.3599)
O (0.4017, 0.6305, 0.9699)
O (0.4088, 0.4995, 0.5887)
O (0.4302, 0.1574, 0.2831)
O (0.4683, 0.0858, 0.9436)
O (0.4807, 0.4674, 0.3641)
O (0.4812, 0.9359, 0.3151)
O (0.4950, 0.8845, 0.5547)
O (0.5001, 0.3167, 0.9229)
O (0.5084, 0.3172, 0.1551)
O (0.5145, 0.7301, 0.7444)
O (0.5415, 0.6533, 0.4985)
O (0.5708, 0.0430, 0.1566)
O (0.5743, 0.8070, 0.0081)
O (0.5747, 0.7598, 0.2336)
O (0.5764, 0.0943, 0.6961)
O (0.5809, 0.5385, 0.7618)
O (0.5845, 0.0923, 0.4770)
O (0.6151, 0.5375, 0.9651)
O (0.6450, 0.2561, 0.3344)
O (0.6602, 0.4963, 0.1832)
O (0.6719, 0.8641, 0.4394)
O (0.7053, 0.3569, 0.7593)
O (0.7113, 0.4849, 0.5769)
O (0.7166, 0.9745, 0.8632)
O (0.7202, 0.2841, 0.0900)
O (0.7346, 0.0311, 0.3027)
O (0.7387, 0.7034, 0.6530)
O (0.7456, 0.7148, 0.8916)
O (0.7512, 0.4714, 0.3589)
O (0.7578, 0.9400, 0.6509)
O (0.7785, 0.1976, 0.5728)
O (0.8227, 0.6287, 0.0724)
O (0.8587, 0.2167, 0.8980)
O (0.8665, 0.6469, 0.3728)
O (0.8668, 0.0010, 0.1050)
O (0.8918, 0.8366, 0.2194)
O (0.9038, 0.5332, 0.8176)
O (0.9095, 0.4128, 0.1652)
O (0.9106, 0.4146, 0.5314)
O (0.9496, 0.3168, 0.7210)
O (0.9598, 0.1310, 0.3612)
O (0.9741, 0.6364, 0.5605)

Output
total moment = 1.65 μB per formula unit
formation energy = -1.522 eV/atom


Record 7
# WO3

WO3 after structural relaxation (GGA+U, the Materials Project database).

Lattice parameters (Å, degrees): 7.3011 7.4490 10.2432 90.14 93.00 93.50
Fractional positions:
W (0.0000, 0.0000, 0.0000)
W (0.0026, 0.4999, 0.0135)
W (0.2476, 0.7605, 0.7728)
W (0.2507, 0.2657, 0.2851)
W (0.4990, 0.9231, 0.4795)
W (0.7439, 0.6896, 0.7331)
W (0.7488, 0.2052, 0.2362)
O (0.0087, 0.7384, 0.0667)
O (0.0108, 0.7185, 0.6936)
O (0.1606, 0.0603, 0.1432)
O (0.1825, 0.4272, 0.1418)
O (0.1886, 0.5635, 0.8869)
O (0.2123, 0.9442, 0.8862)
O (0.2867, 0.4279, 0.4072)
O (0.3175, 0.0660, 0.3971)
O (0.3229, 0.8766, 0.6176)
O (0.4867, 0.7274, 0.3890)
O (0.4977, 0.7051, 0.8005)
O (0.4992, 0.2635, 0.2194)
O (0.6778, 0.0660, 0.3844)
O (0.6846, 0.8885, 0.6160)
O (0.6892, 0.5158, 0.6211)
O (0.7806, 0.0319, 0.1145)
O (0.8140, 0.4097, 0.1315)
O (0.8171, 0.5366, 0.8789)
O (0.8347, 0.8991, 0.8713)
O (0.9824, 0.2344, 0.3193)
O (0.9942, 0.2382, 0.9465)

Output
total moment = 0.00 μB per formula unit
formation energy = -2.061 eV/atom


Record 8
# W9O13

W9O13 after structural relaxation (GGA+U, the Materials Project database).

Lattice parameters (Å, degrees): 3.2580 6.7003 17.6367 92.99 91.66 99.87
Fractional positions:
W (0.0000, 0.0000, 0.0000)
W (0.1719, 0.3213, 0.4967)
W (0.2433, 0.6714, 0.8692)
W (0.3627, 0.8141, 0.1690)
W (0.4689, 0.9713, 0.3801)
W (0.5311, 0.0287, 0.6199)
W (0.6373, 0.1859, 0.8310)
W (0.7567, 0.3286, 0.1308)
W (0.8281, 0.6787, 0.5033)
O (0.0636, 0.1774, 0.3914)
O (0.1140, 0.0230, 0.8768)
O (0.1190, 0.2278, 0.6058)
O (0.1828, 0.3824, 0.8214)
O (0.4188, 0.7923, 0.9771)
O (0.4420, 0.9445, 0.2682)
O (0.5000, 0.0000, 0.5000)
O (0.5580, 0.0555, 0.7318)
O (0.5812, 0.2077, 0.0229)
O (0.8172, 0.6176, 0.1786)
O (0.8810, 0.7722, 0.3942)
O (0.8860, 0.9770, 0.1232)
O (0.9364, 0.8226, 0.6086)

Output
total moment = 21.81 μB per formula unit
formation energy = -1.036 eV/atom


Record 9
# WO5

WO5 after structural relaxation (GGA+U, the Materials Project database).

Lattice parameters (Å, degrees): 7.7198 6.1649 3.8882 90.00 90.00 90.00
Fractional positions:
W (0.2500, 0.0000, 0.0004)
W (0.7500, 0.0000, 0.9996)
O (0.0000, 0.0000, 0.0000)
O (0.0000, 0.5000, 0.5000)
O (0.2500, 0.0000, 0.4823)
O (0.2500, 0.3073, 0.9195)
O (0.2500, 0.6927, 0.9195)
O (0.5000, 0.0000, 0.0000)
O (0.5000, 0.5000, 0.5000)
O (0.7500, 0.0000, 0.5177)
O (0.7500, 0.3073, 0.0805)
O (0.7500, 0.6927, 0.0805)

Output
total moment = 4.00 μB per formula unit
formation energy = -0.701 eV/atom


Record 10
# WO2

WO2 after structural relaxation (GGA+U, the Materials Project database).

Lattice parameters (Å, degrees): 11.6392 11.7442 12.2518 86.48 82.88 89.36
Fractional positions:
W (0.0000, 0.0000, 0.0000)
W (0.0140, 0.4900, 0.3422)
W (0.0355, 0.2129, 0.2223)
W (0.0357, 0.0545, 0.4805)
W (0.1055, 0.6395, 0.5226)
W (0.1714, 0.7953, 0.0440)
W (0.1734, 0.2510, 0.8003)
W (0.2003, 0.0014, 0.2182)
W (0.2584, 0.7377, 0.3001)
W (0.2848, 0.3521, 0.2349)
W (0.3074, 0.9268, 0.8217)
W (0.3163, 0.1245, 0.5902)
W (0.3565, 0.8129, 0.5700)
W (0.4002, 0.1529, 0.0249)
W (0.4028, 0.4245, 0.6016)
W (0.4215, 0.8741, 0.0947)
W (0.4449, 0.3875, 0.8769)
W (0.4466, 0.5922, 0.0925)
W (0.4696, 0.3017, 0.3632)
W (0.5411, 0.0973, 0.7940)
W (0.5943, 0.2633, 0.5961)
W (0.6229, 0.8242, 0.6811)
W (0.6398, 0.7597, 0.0009)
W (0.6567, 0.3365, 0.0853)
W (0.6773, 0.9935, 0.0471)
W (0.6818, 0.5179, 0.6811)
W (0.7370, 0.2942, 0.3001)
W (0.7633, 0.0439, 0.5271)
W (0.8235, 0.0858, 0.7628)
W (0.8247, 0.8021, 0.1398)
W (0.8549, 0.8147, 0.8098)
W (0.8567, 0.4811, 0.1459)
W (0.9157, 0.2913, 0.9509)
W (0.9991, 0.4380, 0.6917)
O (0.0224, 0.7641, 0.5347)
O (0.0292, 0.1876, 0.3841)
O (0.0355, 0.3874, 0.8505)
O (0.0417, 0.1748, 0.9322)
O (0.0580, 0.0630, 0.1470)
O (0.0607, 0.2946, 0.6683)
O (0.1043, 0.3662, 0.2776)
O (0.1292, 0.5471, 0.6594)
O (0.1442, 0.9724, 0.3731)
O (0.1483, 0.9123, 0.9217)
O (0.1486, 0.5988, 0.3657)
O (0.1491, 0.8302, 0.2031)
O (0.1655, 0.0948, 0.5658)
O (0.2216, 0.1924, 0.2008)
O (0.2627, 0.8260, 0.7168)
O (0.2678, 0.7176, 0.4769)
O (0.2710, 0.0885, 0.7585)
O (0.2940, 0.2902, 0.6444)
O (0.2980, 0.0073, 0.0658)
O (0.3046, 0.7066, 0.1247)
O (0.3206, 0.2693, 0.9105)
O (0.3413, 0.8295, 0.9535)
O (0.3487, 0.8952, 0.2510)
O (0.3619, 0.4469, 0.7686)
O (0.3626, 0.5027, 0.2112)
O (0.3681, 0.9719, 0.5350)
O (0.3817, 0.4178, 0.4467)
O (0.3836, 0.1813, 0.4339)
O (0.3869, 0.4799, 0.9870)
O (0.4769, 0.1343, 0.6325)
O (0.4933, 0.7523, 0.6272)
O (0.4960, 0.9391, 0.7649)
O (0.5103, 0.0296, 0.1000)
O (0.5132, 0.6612, 0.9552)
O (0.5235, 0.7305, 0.1475)
O (0.5270, 0.2902, 0.9926)
O (0.5280, 0.5190, 0.6113)
O (0.5338, 0.2709, 0.7693)
O (0.5792, 0.4770, 0.1023)
O (0.5867, 0.4725, 0.8214)
O (0.5918, 0.2399, 0.2313)
O (0.6136, 0.3924, 0.3669)
O (0.6473, 0.9357, 0.5433)
O (0.6666, 0.0643, 0.8892)
O (0.6830, 0.7707, 0.8263)
O (0.6882, 0.1247, 0.6732)
O (0.6915, 0.1870, 0.4611)
O (0.7112, 0.6684, 0.6370)
O (0.7138, 0.3802, 0.6069)
O (0.7627, 0.2141, 0.0410)
O (0.7858, 0.8086, 0.2820)
O (0.7886, 0.9220, 0.6937)
O (0.7934, 0.6258, 0.1376)
O (0.8040, 0.4277, 0.0030)
O (0.8153, 0.7698, 0.9681)
O (0.8315, 0.9790, 0.0941)
O (0.8456, 0.4892, 0.7279)
O (0.8536, 0.2347, 0.8277)
O (0.8549, 0.1931, 0.2620)
O (0.8558, 0.4174, 0.3077)
O (0.8924, 0.9800, 0.4420)
O (0.8953, 0.1110, 0.6007)
O (0.9125, 0.9694, 0.8514)
O (0.9618, 0.7185, 0.7620)
O (0.9694, 0.3287, 0.0961)
O (0.9926, 0.5569, 0.1949)
O (0.9963, 0.5020, 0.5152)
O (0.9960, 0.8200, 0.0646)

Output
total moment = 1.71 μB per formula unit
formation energy = -1.556 eV/atom


Record 11
# WO5

WO5 after structural relaxation (GGA+U, the Materials Project database).

Lattice parameters (Å, degrees): 8.1086 4.0015 13.1719 90.00 111.54 90.00
Fractional positions:
W (0.1697, 0.0662, 0.3128)
W (0.1697, 0.4338, 0.8128)
W (0.8303, 0.5662, 0.1872)
W (0.8303, 0.9338, 0.6872)
O (0.0944, 0.5613, 0.2831)
O (0.0944, 0.9387, 0.7831)
O (0.1837, 0.0502, 0.4479)
O (0.1837, 0.4498, 0.9479)
O (0.2291, 0.0390, 0.1737)
O (0.2291, 0.4610, 0.6737)
O (0.4263, 0.2419, 0.3529)
O (0.4263, 0.2581, 0.8529)
O (0.4307, 0.5955, 0.8556)
O (0.4307, 0.9045, 0.3556)
O (0.5693, 0.0955, 0.6444)
O (0.5693, 0.4045, 0.1444)
O (0.5737, 0.7419, 0.1471)
O (0.5737, 0.7581, 0.6471)
O (0.7709, 0.5390, 0.3263)
O (0.7709, 0.9610, 0.8263)
O (0.8163, 0.5502, 0.0521)
O (0.8163, 0.9498, 0.5521)
O (0.9056, 0.0613, 0.2169)
O (0.9056, 0.4387, 0.7169)

Output
total moment = 2.00 μB per formula unit
formation energy = -0.666 eV/atom


no.,calculated total energy (eV per atom),energy with MP2020 corrections (eV per cell)
1,-7.45,-28.2
2,-6.85,-150.7
3,-7.32,-111.1
4,-7.49,-145.8
5,-7.61,-229.1
6,-7.20,-932.3
7,-7.39,-252.3
8,-7.04,-203.7
9,-5.67,-83.8
10,-7.24,-935.7
11,-6.07,-166.8